# PrTe, optimized geometry, DFT PBE
data_PrTe
_symmetry_space_group_name_H-M 'P m -3 m'
_symmetry_Int_Tables_number 221
_symmetry_space_group_name_Hall '-P 4 2 3'
_cell_length_a 3.9076
_cell_length_b 3.9076
_cell_length_c 3.9076
_cell_angle_alpha 90.00
_cell_angle_beta 90.00
_cell_angle_gamma 90.00
loop_
_atom_site_label
_atom_site_type_symbol
_atom_site_fract_x
_atom_site_fract_y
_atom_site_fract_z
Pr1 Pr 0.0000 0.0000 0.0000
Te1 Te 0.5000 0.5000 0.5000
# * total energy: -5.308 eV/atom
# * ΔH_f (0 K): -1557 meV per atom
# * V: 59.7 Å³/cell